No. 1
Below is MgV2CoO6 after structural relaxation, with properties calculated at the PBE+U level.

Cell and atoms, written as extended XYZ:
```
10
Lattice="-1.0311 1.4942 3.5737 3.0912 -4.8108 0.5011 5.5269 3.6532 0.0891" Properties=species:S:1:pos:R:3 pbc="T T T"
O 2.8504 -1.6400 3.6718
O 3.9509 1.1952 2.7831
V 4.8932 0.3503 1.1582
O 5.2083 2.1025 0.5312
O 3.1201 -0.4913 1.0026
V 2.5235 -0.1554 2.9283
O 0.8013 0.2509 2.2621
Mg 4.4376 3.1171 2.1193
Co 1.1894 -0.1186 0.2209
O 6.1443 -0.5306 1.8607
```

Summary:
Energy above the most stable polymorph in this dataset, meV per atom: 27
Size of the total moment, μB per formula unit: 5.00
Space-group type: P1 (1)
Total energy, eV/atom: -7.046
Calculated volume, Å³ per cell: 141
E (MP2020), eV for the cell shown: -79.6
Formation enthalpy at 0 K, eV per atom: -2.31

No. 2
Below is MgV2CoO6 after structural relaxation, with properties calculated at the PBE+U level.

Cell and atoms, written as extended XYZ:
```
10
Lattice="-1.9162 1.2928 -5.1516 0.3055 -3.2393 -4.8012 -4.3479 -2.4889 -2.8619" Properties=species:S:1:pos:R:3 pbc="T T T"
O -1.7424 -0.6135 -6.2060
O -4.0768 -1.7030 -4.7732
V -0.1490 -0.1358 -0.2490
O -2.0713 -2.5591 -8.4285
O -4.2945 -1.3655 -7.4705
Co -4.0147 -3.0153 -8.6358
V -3.0140 -2.1737 -6.4081
Mg -5.0001 -3.7072 -10.7728
O -3.9949 -3.9335 -6.9671
O -1.8092 -3.3528 -5.4003
```

Summary:
Energy above the most stable polymorph in this dataset, meV per atom: 204
Size of the total moment, μB per formula unit: 5.00
Space-group type: P1 (1)
Total energy, eV/atom: -6.870
Calculated volume, Å³ per cell: 110
E (MP2020), eV for the cell shown: -77.9
Formation enthalpy at 0 K, eV per atom: -2.13

No. 3
Below is Mg2V2CoO8 after structural relaxation, with properties calculated at the PBE+U level.

Cell and atoms, written as extended XYZ:
```
26
Lattice="-5.3204 2.6040 -1.5284 -3.6879 -3.0048 -4.5201 -3.8727 -4.3575 6.0564" Properties=species:S:1:pos:R:3 pbc="T T T"
O -6.7162 -0.5481 -2.0386
O -6.6091 -3.5781 -0.9671
Mg -10.3055 -3.1586 -0.1116
Mg -7.6455 -4.4608 0.6529
O -7.3332 -0.0977 -4.7588
O -6.2776 1.5072 -0.0639
V -4.9113 -3.6220 -1.3151
O -5.5477 -4.6606 4.7667
O -6.1648 -4.2102 2.0465
V -6.3148 -3.5694 3.6593
O -6.6033 -6.2654 0.0718
O -8.6479 -2.7090 1.0054
O -4.8839 -1.2963 -4.0547
Co -4.5965 -0.8767 2.2640
V -6.5662 -1.1888 -3.6515
V -7.9696 -1.1362 1.3229
O -3.6514 0.1669 0.7534
Mg -2.5754 -1.5996 0.1195
O -6.2719 -1.1802 0.9749
Mg -5.2355 -0.2975 -0.6450
O -4.2330 -2.0493 -0.9975
O -7.9971 -3.4619 4.0626
O -3.4011 -2.5860 1.7995
O -9.2296 -4.9252 -0.7455
Co -5.3204 2.6040 -1.5284
O -9.4799 -2.1723 -1.7916
```

Summary:
Size of the total moment, μB per formula unit: 3.00
Space-group type: Cmce (64)
Total energy, eV/atom: -6.902
Calculated volume, Å³ per cell: 299
E (MP2020), eV for the cell shown: -200.5
Formation enthalpy at 0 K, eV per atom: -2.48

No. 4
Below is MgV2CoO6 after structural relaxation, with properties calculated at the PBE+U level.

Cell and atoms, written as extended XYZ:
```
10
Lattice="-1.6980 1.3359 -3.1511 0.2204 -5.5366 -0.1517 -6.1125 -1.0759 2.8375" Properties=species:S:1:pos:R:3 pbc="T T T"
O -5.8209 -4.2539 1.3868
Mg -0.8186 -1.6934 -0.2227
O -4.9901 -1.6801 2.0307
V -4.4066 -3.0302 1.1437
Co -6.9624 -4.1801 -0.2827
V -3.2725 -2.7969 -1.6843
O -2.6663 -4.1437 -2.5805
O -1.9226 -1.5151 -1.8686
O -2.6617 -3.0166 0.2094
O -5.0017 -2.8072 -0.7572
```

Summary:
Energy above the most stable polymorph in this dataset, meV per atom: 0
Size of the total moment, μB per formula unit: 5.00
Space-group type: Cm (8)
Total energy, eV/atom: -7.074
Calculated volume, Å³ per cell: 135
E (MP2020), eV for the cell shown: -79.9
Formation enthalpy at 0 K, eV per atom: -2.33

No. 5
Below is MgV2CoO6 after structural relaxation, with properties calculated at the PBE+U level.

Cell and atoms, written as extended XYZ:
```
10
Lattice="-0.6249 -3.2583 1.3813 2.8763 -0.5934 -4.7761 4.6014 0.9059 4.2158" Properties=species:S:1:pos:R:3 pbc="T T T"
O 3.5549 -0.9280 -0.7059
O 0.8459 -2.1177 -0.0619
O 3.3143 -1.9324 1.4907
O 3.5699 0.4657 2.5884
O 6.0231 -0.7428 0.8470
Co 6.8610 -2.9033 0.8031
V 2.5004 -2.5128 -0.2463
O 3.2993 -3.3261 -1.8036
Mg 4.8727 -1.7274 -1.9954
V 4.3692 -0.3476 1.0311
```

Summary:
Energy above the most stable polymorph in this dataset, meV per atom: 68
Size of the total moment, μB per formula unit: 0.98
Space-group type: C2/m (12)
Total energy, eV/atom: -7.006
Calculated volume, Å³ per cell: 117
E (MP2020), eV for the cell shown: -79.2
Formation enthalpy at 0 K, eV per atom: -2.27

No. 6
Below is MgV3CoO8 after structural relaxation, with properties calculated at the PBE+U level.

Cell and atoms, written as extended XYZ:
```
13
Lattice="6.3939 -0.0568 0.0481 -5.1993 3.7218 -0.0481 -1.8577 0.6055 6.4858" Properties=species:S:1:pos:R:3 pbc="T T T"
O 0.3028 1.9285 6.3864
O 4.4793 0.5672 1.7723
O 2.5630 1.1918 4.6000
Mg 3.4217 0.9120 6.4674
V -0.9929 2.3508 2.0247
O -1.2026 2.4192 4.0833
O -2.9368 2.9844 2.3956
V 0.5223 1.8569 4.6986
O 0.6278 1.8226 2.4619
V -2.9922 3.0024 4.3326
O -4.8876 3.6202 4.4319
Co 2.4185 1.2389 1.8412
O -2.6239 2.8824 6.4383
```

Summary:
Energy above the most stable polymorph in this dataset, meV per atom: 0
Size of the total moment, μB per formula unit: 6.02
Space-group type: Cm (8)
Total energy, eV/atom: -7.143
Calculated volume, Å³ per cell: 153
E (MP2020), eV for the cell shown: -105.1
Formation enthalpy at 0 K, eV per atom: -2.27

No. 7
Below is MgV3CoO8 after structural relaxation, with properties calculated at the PBE+U level.

Cell and atoms, written as extended XYZ:
```
13
Lattice="-4.5203 -1.6974 2.5885 -2.5363 -2.6323 -5.7086 2.2815 -4.9672 1.2615" Properties=species:S:1:pos:R:3 pbc="T T T"
O -2.2141 -5.8057 -0.5066
V -1.3485 -6.8625 0.7392
O -3.4564 -3.6271 -0.9541
O -3.9212 -3.7185 2.1991
O -0.9435 -4.1104 -2.7967
O -2.8767 -6.5871 1.8101
V -0.4688 -0.5315 -0.2676
V -2.4410 -4.8203 -2.0837
O -3.5915 -5.6988 -3.0036
Co -5.0695 -6.5795 -2.0680
O 0.0498 -6.0023 1.3657
O -0.2645 -6.6793 -3.9187
Mg -3.7833 -5.0829 0.6720
```

Summary:
Energy above the most stable polymorph in this dataset, meV per atom: 31
Size of the total moment, μB per formula unit: 6.00
Space-group type: P1 (1)
Total energy, eV/atom: -7.111
Calculated volume, Å³ per cell: 208
E (MP2020), eV for the cell shown: -104.7
Formation enthalpy at 0 K, eV per atom: -2.24

No. 8
Below is MgV3CoO8 after structural relaxation, with properties calculated at the PBE+U level.

Cell and atoms, written as extended XYZ:
```
13
Lattice="6.5748 -0.1263 0.0479 -5.3865 3.7723 -0.0479 -1.9138 0.6238 6.3890" Properties=species:S:1:pos:R:3 pbc="T T T"
O 2.3687 1.2446 4.1947
O -1.2682 2.4300 4.0550
O -5.1444 3.6934 4.5103
Mg -3.2436 3.0739 0.1051
V 0.3912 1.8892 4.4299
O 0.3611 1.8990 6.3624
V -3.1372 3.0392 4.3723
V -1.0979 2.3745 1.8261
Co 2.4118 1.2306 2.0903
O -1.2382 2.4203 0.0610
O 4.5966 0.5185 2.0106
O -3.0592 3.0138 2.1741
O 0.5053 1.8520 2.3039
```

Summary:
Energy above the most stable polymorph in this dataset, meV per atom: 79
Size of the total moment, μB per formula unit: 4.79
Space-group type: Cm (8)
Total energy, eV/atom: -7.064
Calculated volume, Å³ per cell: 154
E (MP2020), eV for the cell shown: -104.1
Formation enthalpy at 0 K, eV per atom: -2.19

No. 9
Below is MgV3CoO8 after structural relaxation, with properties calculated at the PBE+U level.

Cell and atoms, written as extended XYZ:
```
13
Lattice="6.5043 -0.1019 -0.0077 -5.3152 3.7504 0.0077 -1.9486 0.6351 6.5648" Properties=species:S:1:pos:R:3 pbc="T T T"
O -3.0937 3.0264 2.4112
V 0.3338 1.9092 4.6409
Co 2.2978 1.2691 1.8771
V -3.2012 3.0614 4.3532
O -5.1886 3.7092 4.4577
O -1.1200 2.3831 0.0384
Mg 2.4245 1.2278 6.5233
O 2.3600 1.2488 4.5318
V -1.1274 2.3855 2.0243
O -1.2823 2.4360 4.2118
O 0.4101 1.8844 6.3780
O 0.5026 1.8542 2.4707
O 4.3829 0.5895 1.8991
```

Summary:
Energy above the most stable polymorph in this dataset, meV per atom: 89
Size of the total moment, μB per formula unit: 2.01
Space-group type: Cm (8)
Total energy, eV/atom: -7.054
Calculated volume, Å³ per cell: 157
E (MP2020), eV for the cell shown: -103.9
Formation enthalpy at 0 K, eV per atom: -2.18

No. 10
Below is MgV3CoO8 after structural relaxation, with properties calculated at the PBE+U level.

Cell and atoms, written as extended XYZ:
```
13
Lattice="5.5662 -0.1067 -0.0550 -0.1189 6.9587 -0.0691 -0.0619 -0.0641 5.3699" Properties=species:S:1:pos:R:3 pbc="T T T"
O 4.8314 6.3041 4.5571
O 2.6026 4.1559 4.3346
O 3.2024 5.5743 1.8490
V 3.1117 2.4094 5.1888
O 2.6690 2.8345 1.6755
V 0.3538 0.8846 0.1421
Mg 3.0280 5.9474 5.2610
Co 5.0171 6.0024 2.6471
O 2.1434 0.7094 5.0577
O 4.9222 2.1824 4.9207
V 2.2432 4.2552 2.5478
O 0.1966 0.6948 1.8633
O 0.6108 4.6186 2.2853
```

Summary:
Energy above the most stable polymorph in this dataset, meV per atom: 42
Size of the total moment, μB per formula unit: 6.00
Space-group type: P1 (1)
Total energy, eV/atom: -7.101
Calculated volume, Å³ per cell: 208
E (MP2020), eV for the cell shown: -104.5
Formation enthalpy at 0 K, eV per atom: -2.23

No. 11
Below is Mg2CoWO6 after structural relaxation, with properties calculated at the PBE+U level.

Cell and atoms, written as extended XYZ:
```
20
Lattice="-4.6540 -0.8683 2.1906 -3.5708 -3.2958 -2.7205 2.4814 -8.4259 2.0022" Properties=species:S:1:pos:R:3 pbc="T T T"
Co -4.7014 -4.4109 0.7397
Mg -3.6479 -7.0080 2.0207
O -5.2246 -6.3763 0.6512
Mg -3.6481 -10.5593 0.5931
O -3.9443 -2.4153 1.4826
W -3.5683 -3.2535 -2.6180
O -2.0491 -8.1052 2.7643
O -4.5319 -8.8511 1.2421
O -6.3936 -3.4874 0.0826
Mg -2.5619 -5.9121 -1.5030
O 0.6195 -8.8279 1.9328
O -2.8258 -7.2659 -0.0117
O -3.4460 -4.2037 -0.8538
Co -1.1341 -8.1893 0.6458
O -2.9480 -5.0491 2.0266
Mg -2.5610 -2.3613 -0.0758
O -0.3770 -6.1944 1.3881
O -1.6568 -10.1550 0.5571
O -0.9618 -3.4582 0.6674
W -4.6545 -7.9014 -0.5217
```

Summary:
Energy above the most stable polymorph in this dataset, meV per atom: 0
Size of the total moment, μB per formula unit: 0.00
Total energy, eV/atom: -6.666
Calculated volume, Å³ per cell: 221
E (MP2020), eV for the cell shown: -153.7
Formation enthalpy at 0 K, eV per atom: -2.39

No. 12
Below is MgCo2W2O8 after structural relaxation, with properties calculated at the PBE+U level.

Cell and atoms, written as extended XYZ:
```
13
Lattice="4.9657 -0.0865 0.1702 -0.0941 5.2176 -0.1453 0.2092 -0.1661 5.9998" Properties=species:S:1:pos:R:3 pbc="T T T"
W 5.0334 3.6637 5.1837
O 4.1089 0.2406 5.4296
O 3.8541 2.8325 3.9619
Mg 0.1573 1.1046 3.6561
O 1.2107 1.9937 2.1113
Co 2.6296 1.0781 3.9290
O 3.8230 0.4658 2.3159
Co 2.5760 3.7888 2.3245
O 0.9130 4.9081 0.4262
O 1.1739 2.0459 5.2303
O 1.2247 4.6425 3.6140
O 3.8899 2.8941 0.8405
W 4.9627 1.2457 1.0089
```

Summary:
Size of the total moment, μB per formula unit: 6.00
Space-group type: P1 (1)
Total energy, eV/atom: -6.716
Calculated volume, Å³ per cell: 155
E (MP2020), eV for the cell shown: -104.9
Formation enthalpy at 0 K, eV per atom: -1.82